Record 1
! Ti3TlC PBE optimized geometry; values from VASP
&SYSTEM
  ibrav = 0, nat = 5, ntyp = 3
/
ATOMIC_SPECIES
Ti 47.87 Ti.upf
Tl 204.38 Tl.upf
C 12.01 C.upf
ATOMIC_POSITIONS crystal
Ti 0.000 0.000 0.500
Ti 0.000 0.500 0.000
Ti 0.500 0.000 0.000
Tl 0.500 0.500 0.500
C 0.000 0.000 0.000
CELL_PARAMETERS angstrom
4.261 0.000 0.000
0.000 4.261 0.000
0.000 0.000 4.261
! Density   7.73 g cm⁻³
! Energy of formation   -0.4411 eV/atom
! Space group   Pm-3m (221)

Record 2
! Ti2TlC PBE optimized geometry; values from VASP
&SYSTEM
  ibrav = 0, nat = 8, ntyp = 3
/
ATOMIC_SPECIES
Ti 47.87 Ti.upf
Tl 204.38 Tl.upf
C 12.01 C.upf
ATOMIC_POSITIONS crystal
Ti 0.333 0.667 0.077
Ti 0.333 0.667 0.423
Ti 0.667 0.333 0.577
Ti 0.667 0.333 0.923
Tl 0.333 0.667 0.750
Tl 0.667 0.333 0.250
C 0.000 0.000 0.000
C 0.000 0.000 0.500
CELL_PARAMETERS angstrom
3.179 0.000 0.000
-1.589 2.753 0.000
0.000 0.000 14.240
! Density   8.32 g cm⁻³
! Energy of formation   -0.5734 eV/atom
! Space group   P6_3/mmc (194)

Record 3
! Ti3Zn3C PBE optimized geometry; values from VASP
&SYSTEM
  ibrav = 0, nat = 28, ntyp = 3
/
ATOMIC_SPECIES
Ti 47.87 Ti.upf
Zn 65.41 Zn.upf
C 12.01 C.upf
ATOMIC_POSITIONS crystal
Ti 0.058 0.058 0.692
Ti 0.058 0.692 0.058
Ti 0.058 0.692 0.692
Ti 0.308 0.308 0.942
Ti 0.308 0.942 0.308
Ti 0.308 0.942 0.942
Ti 0.692 0.058 0.058
Ti 0.692 0.058 0.692
Ti 0.692 0.692 0.058
Ti 0.942 0.308 0.308
Ti 0.942 0.308 0.942
Ti 0.942 0.942 0.308
Zn 0.000 0.500 0.500
Zn 0.290 0.290 0.290
Zn 0.290 0.290 0.630
Zn 0.290 0.630 0.290
Zn 0.370 0.710 0.710
Zn 0.500 0.000 0.500
Zn 0.500 0.500 0.000
Zn 0.500 0.500 0.500
Zn 0.630 0.290 0.290
Zn 0.710 0.370 0.710
Zn 0.710 0.710 0.370
Zn 0.710 0.710 0.710
C 0.000 0.000 0.000
C 0.000 0.000 0.500
C 0.000 0.500 0.000
C 0.500 0.000 0.000
CELL_PARAMETERS angstrom
0.000 5.789 5.789
5.789 0.000 5.789
5.789 5.789 0.000
! Density   6.02 g cm⁻³
! Energy of formation   -0.4421 eV/atom
! Space group   Fd-3m (227)

Record 4
! Ti6Zn2C PBE optimized geometry; values from VASP
&SYSTEM
  ibrav = 0, nat = 9, ntyp = 3
/
ATOMIC_SPECIES
Ti 47.87 Ti.upf
Zn 65.41 Zn.upf
C 12.01 C.upf
ATOMIC_POSITIONS crystal
Ti 0.000 0.000 0.000
Ti 0.000 0.000 0.500
Ti 0.000 0.500 0.142
Ti 0.000 0.500 0.858
Ti 0.500 0.000 0.142
Ti 0.500 0.000 0.858
Zn 0.000 0.000 0.307
Zn 0.000 0.000 0.693
C 0.500 0.500 0.000
CELL_PARAMETERS angstrom
3.526 0.000 0.000
0.000 3.526 0.000
0.000 0.000 13.911
! Density   4.13 g cm⁻³
! Energy of formation   0.6705 eV/atom
! Space group   P4/mmm (123)

Record 5
! ZrTiC2 PBE optimized geometry; values from VASP
&SYSTEM
  ibrav = 0, nat = 4, ntyp = 3
/
ATOMIC_SPECIES
Zr 91.22 Zr.upf
Ti 47.87 Ti.upf
C 12.01 C.upf
ATOMIC_POSITIONS crystal
Zr 0.000 0.000 0.000
Ti 0.500 0.500 0.500
C 0.000 0.000 0.500
C 0.500 0.500 0.000
CELL_PARAMETERS angstrom
3.224 0.000 0.000
0.000 3.224 0.000
0.000 0.000 4.536
! Excess energy over the best structure of this formula in the dataset   37 meV/atom
! Density   5.75 g cm⁻³
! Energy of formation   -0.7063 eV/atom
! Space group   P4/mmm (123)

Record 6
! ZrTiC2 PBE optimized geometry; values from VASP
&SYSTEM
  ibrav = 0, nat = 4, ntyp = 3
/
ATOMIC_SPECIES
Zr 91.22 Zr.upf
Ti 47.87 Ti.upf
C 12.01 C.upf
ATOMIC_POSITIONS crystal
Zr 0.000 0.000 0.000
Ti 0.500 0.500 0.500
C 0.244 0.244 0.244
C 0.756 0.756 0.756
CELL_PARAMETERS angstrom
1.610 0.929 5.216
-1.610 0.929 5.216
0.000 -1.859 5.216
! Excess energy over the best structure of this formula in the dataset   0 meV/atom
! Density   5.78 g cm⁻³
! Energy of formation   -0.7431 eV/atom
! Space group   R-3m (166)

Record 7
! TlC PBE optimized geometry; values from VASP
&SYSTEM
  ibrav = 0, nat = 4, ntyp = 2
/
ATOMIC_SPECIES
Tl 204.38 Tl.upf
C 12.01 C.upf
ATOMIC_POSITIONS crystal
Tl 0.333 0.667 0.000
Tl 0.667 0.333 0.500
C 0.333 0.667 0.639
C 0.667 0.333 0.139
CELL_PARAMETERS angstrom
3.732 0.000 0.000
-1.866 3.232 0.000
0.000 0.000 6.303
! Excess energy over the best structure of this formula in the dataset   0 meV/atom
! Density   9.45 g cm⁻³
! Energy of formation   1.9812 eV/atom
! Space group   P6_3mc (186)

Record 8
! Tm3TlC PBE optimized geometry; values from VASP
&SYSTEM
  ibrav = 0, nat = 5, ntyp = 3
/
ATOMIC_SPECIES
Tm 168.93 Tm.upf
Tl 204.38 Tl.upf
C 12.01 C.upf
ATOMIC_POSITIONS crystal
Tm 0.000 0.000 0.500
Tm 0.000 0.500 0.000
Tm 0.500 0.000 0.000
Tl 0.000 0.000 0.000
C 0.500 0.500 0.500
CELL_PARAMETERS angstrom
5.532 0.000 0.000
0.000 5.532 0.000
0.000 0.000 5.532
! Density   7.09 g cm⁻³
! Energy of formation   1.6366 eV/atom
! Space group   Pm-3m (221)

Record 9
! Y3TlC PBE optimized geometry; values from VASP
&SYSTEM
  ibrav = 0, nat = 5, ntyp = 3
/
ATOMIC_SPECIES
Y 88.91 Y.upf
Tl 204.38 Tl.upf
C 12.01 C.upf
ATOMIC_POSITIONS crystal
Y 0.000 0.000 0.500
Y 0.000 0.500 0.000
Y 0.500 0.000 0.000
Tl 0.500 0.500 0.500
C 0.000 0.000 0.000
CELL_PARAMETERS angstrom
4.932 0.000 0.000
0.000 4.932 0.000
0.000 0.000 4.932
! Density   6.69 g cm⁻³
! Energy of formation   -0.4893 eV/atom
! Space group   Pm-3m (221)

Record 10
! Tm15C19 PBE optimized geometry; values from VASP
&SYSTEM
  ibrav = 0, nat = 68, ntyp = 2
/
ATOMIC_SPECIES
Tm 168.93 Tm.upf
C 12.01 C.upf
ATOMIC_POSITIONS crystal
Tm 0.000 0.000 0.000
Tm 0.000 0.000 0.331
Tm 0.000 0.000 0.669
Tm 0.093 0.298 0.500
Tm 0.099 0.716 0.150
Tm 0.099 0.716 0.850
Tm 0.202 0.407 0.000
Tm 0.216 0.599 0.350
Tm 0.216 0.599 0.650
Tm 0.284 0.099 0.150
Tm 0.284 0.099 0.850
Tm 0.298 0.907 0.500
Tm 0.401 0.216 0.350
Tm 0.401 0.216 0.650
Tm 0.407 0.798 0.000
Tm 0.500 0.500 0.169
Tm 0.500 0.500 0.500
Tm 0.500 0.500 0.831
Tm 0.593 0.202 0.000
Tm 0.599 0.784 0.350
Tm 0.599 0.784 0.650
Tm 0.702 0.093 0.500
Tm 0.716 0.901 0.150
Tm 0.716 0.901 0.850
Tm 0.784 0.401 0.350
Tm 0.784 0.401 0.650
Tm 0.798 0.593 0.000
Tm 0.901 0.284 0.150
Tm 0.901 0.284 0.850
Tm 0.907 0.702 0.500
C 0.000 0.000 0.163
C 0.000 0.000 0.500
C 0.000 0.000 0.837
C 0.094 0.302 0.332
C 0.094 0.302 0.668
C 0.102 0.697 0.000
C 0.151 0.349 0.250
C 0.151 0.349 0.750
C 0.197 0.602 0.500
C 0.198 0.406 0.168
C 0.198 0.406 0.832
C 0.302 0.906 0.332
C 0.302 0.906 0.668
C 0.303 0.102 0.000
C 0.349 0.849 0.250
C 0.349 0.849 0.750
C 0.398 0.197 0.500
C 0.406 0.802 0.168
C 0.406 0.802 0.832
C 0.500 0.500 0.000
C 0.500 0.500 0.337
C 0.500 0.500 0.663
C 0.594 0.198 0.168
C 0.594 0.198 0.832
C 0.602 0.803 0.500
C 0.651 0.151 0.250
C 0.651 0.151 0.750
C 0.697 0.898 0.000
C 0.698 0.094 0.332
C 0.698 0.094 0.668
C 0.802 0.594 0.168
C 0.802 0.594 0.832
C 0.803 0.398 0.500
C 0.849 0.651 0.250
C 0.849 0.651 0.750
C 0.898 0.303 0.000
C 0.906 0.698 0.332
C 0.906 0.698 0.668
CELL_PARAMETERS angstrom
8.015 0.000 0.000
0.000 8.015 0.000
0.000 0.000 15.265
! Density   9.36 g cm⁻³
! Energy of formation   -0.3531 eV/atom
! Space group   P4/mnc (128)

Record 11
! Tm2C PBE optimized geometry; values from VASP
&SYSTEM
  ibrav = 0, nat = 3, ntyp = 2
/
ATOMIC_SPECIES
Tm 168.93 Tm.upf
C 12.01 C.upf
ATOMIC_POSITIONS crystal
Tm 0.241 0.241 0.241
Tm 0.759 0.759 0.759
C 0.500 0.500 0.500
CELL_PARAMETERS angstrom
1.771 1.022 5.978
-1.771 1.022 5.978
0.000 -2.045 5.978
! Density   8.95 g cm⁻³
! Energy of formation   -0.3416 eV/atom
! Space group   R-3m (166)

Record 12
! TmC2 PBE optimized geometry; values from VASP
&SYSTEM
  ibrav = 0, nat = 3, ntyp = 2
/
ATOMIC_SPECIES
Tm 168.93 Tm.upf
C 12.01 C.upf
ATOMIC_POSITIONS crystal
Tm 0.000 0.000 0.000
C 0.393 0.393 0.000
C 0.607 0.607 0.000
CELL_PARAMETERS angstrom
-1.801 1.801 3.057
1.801 -1.801 3.057
1.801 1.801 -3.057
! Density   8.08 g cm⁻³
! Energy of formation   -0.1976 eV/atom
! Space group   I4/mmm (139)

Record 13
! TmWC2 PBE optimized geometry; values from VASP
&SYSTEM
  ibrav = 0, nat = 16, ntyp = 3
/
ATOMIC_SPECIES
Tm 168.93 Tm.upf
W 183.84 W.upf
C 12.01 C.upf
ATOMIC_POSITIONS crystal
Tm 0.085 0.250 0.137
Tm 0.415 0.750 0.637
Tm 0.585 0.250 0.363
Tm 0.915 0.750 0.863
W 0.098 0.750 0.390
W 0.402 0.250 0.890
W 0.598 0.750 0.110
W 0.902 0.250 0.610
C 0.160 0.250 0.753
C 0.229 0.250 0.488
C 0.271 0.750 0.988
C 0.340 0.750 0.253
C 0.660 0.250 0.747
C 0.729 0.250 0.012
C 0.771 0.750 0.512
C 0.840 0.750 0.247
CELL_PARAMETERS angstrom
5.682 0.000 0.000
0.000 3.334 0.000
0.000 0.000 10.750
! Density   12.29 g cm⁻³
! Energy of formation   -0.3202 eV/atom
! Space group   Pnma (62)

Record 14
! UC2 PBE optimized geometry; values from VASP
&SYSTEM
  ibrav = 0, nat = 3, ntyp = 2
/
ATOMIC_SPECIES
U 238.03 U.upf
C 12.01 C.upf
ATOMIC_POSITIONS crystal
U 0.000 0.000 0.000
C 0.384 0.384 0.000
C 0.616 0.616 0.000
CELL_PARAMETERS angstrom
-1.760 1.760 2.983
1.760 -1.760 2.983
1.760 1.760 -2.983
! Excess energy over the best structure of this formula in the dataset   0 meV/atom
! Density   11.78 g cm⁻³
! Energy of formation   -0.1111 eV/atom
! Space group   I4/mmm (139)

Record 15
! UC2 PBE optimized geometry; values from VASP
&SYSTEM
  ibrav = 0, nat = 3, ntyp = 2
/
ATOMIC_SPECIES
U 238.03 U.upf
C 12.01 C.upf
ATOMIC_POSITIONS crystal
U 0.000 0.000 0.000
C 0.250 0.250 0.250
C 0.750 0.750 0.750
CELL_PARAMETERS angstrom
0.000 2.694 2.694
2.694 0.000 2.694
2.694 2.694 0.000
! Excess energy over the best structure of this formula in the dataset   647 meV/atom
! Density   11.13 g cm⁻³
! Energy of formation   0.5363 eV/atom
! Space group   Fm-3m (225)

Record 16
! UC2 PBE optimized geometry; values from VASP
&SYSTEM
  ibrav = 0, nat = 12, ntyp = 2
/
ATOMIC_SPECIES
U 238.03 U.upf
C 12.01 C.upf
ATOMIC_POSITIONS crystal
U 0.000 0.000 0.000
U 0.000 0.500 0.500
U 0.500 0.000 0.500
U 0.500 0.500 0.000
C 0.077 0.577 0.923
C 0.077 0.923 0.423
C 0.423 0.077 0.923
C 0.423 0.423 0.423
C 0.577 0.577 0.577
C 0.577 0.923 0.077
C 0.923 0.077 0.577
C 0.923 0.423 0.077
CELL_PARAMETERS angstrom
5.395 0.000 0.000
0.000 5.395 0.000
0.000 0.000 5.395
! Excess energy over the best structure of this formula in the dataset   290 meV/atom
! Density   11.09 g cm⁻³
! Energy of formation   0.1787 eV/atom
! Space group   Pa-3 (205)

Record 17
! U3C PBE optimized geometry; values from VASP
&SYSTEM
  ibrav = 0, nat = 4, ntyp = 2
/
ATOMIC_SPECIES
U 238.03 U.upf
C 12.01 C.upf
ATOMIC_POSITIONS crystal
U 0.000 0.000 0.500
U 0.000 0.500 0.000
U 0.500 0.000 0.000
C 0.500 0.500 0.500
CELL_PARAMETERS angstrom
4.043 0.000 0.000
0.000 4.043 0.000
0.000 0.000 4.043
! Density   18.24 g cm⁻³
! Energy of formation   0.4602 eV/atom
! Space group   Pm-3m (221)

Record 18
! UVC2 PBE optimized geometry; values from VASP
&SYSTEM
  ibrav = 0, nat = 16, ntyp = 3
/
ATOMIC_SPECIES
U 238.03 U.upf
V 50.94 V.upf
C 12.01 C.upf
ATOMIC_POSITIONS crystal
U 0.078 0.250 0.141
U 0.422 0.750 0.641
U 0.578 0.250 0.359
U 0.922 0.750 0.859
V 0.078 0.750 0.399
V 0.422 0.250 0.899
V 0.578 0.750 0.101
V 0.922 0.250 0.601
C 0.168 0.250 0.754
C 0.235 0.250 0.491
C 0.265 0.750 0.991
C 0.332 0.750 0.254
C 0.668 0.250 0.746
C 0.735 0.250 0.009
C 0.765 0.750 0.509
C 0.832 0.750 0.246
CELL_PARAMETERS angstrom
5.560 0.000 0.000
0.000 3.191 0.000
0.000 0.000 10.778
! Density   10.87 g cm⁻³
! Energy of formation   -0.3847 eV/atom
! Space group   Pnma (62)

Record 19
! UWC2 PBE optimized geometry; values from VASP
&SYSTEM
  ibrav = 0, nat = 16, ntyp = 3
/
ATOMIC_SPECIES
U 238.03 U.upf
W 183.84 W.upf
C 12.01 C.upf
ATOMIC_POSITIONS crystal
U 0.081 0.250 0.142
U 0.419 0.750 0.642
U 0.581 0.250 0.358
U 0.919 0.750 0.858
W 0.080 0.750 0.397
W 0.420 0.250 0.897
W 0.580 0.750 0.103
W 0.920 0.250 0.603
C 0.163 0.250 0.755
C 0.249 0.250 0.493
C 0.251 0.750 0.993
C 0.337 0.750 0.255
C 0.663 0.250 0.745
C 0.749 0.250 0.007
C 0.751 0.750 0.507
C 0.837 0.750 0.245
CELL_PARAMETERS angstrom
5.631 0.000 0.000
0.000 3.230 0.000
0.000 0.000 11.074
! Excess energy over the best structure of this formula in the dataset   0 meV/atom
! Density   14.70 g cm⁻³
! Energy of formation   -0.3075 eV/atom
! Space group   Pnma (62)

Record 20
! U2W2C3 PBE optimized geometry; values from VASP
&SYSTEM
  ibrav = 0, nat = 7, ntyp = 3
/
ATOMIC_SPECIES
U 238.03 U.upf
W 183.84 W.upf
C 12.01 C.upf
ATOMIC_POSITIONS crystal
U 0.102 0.102 0.335
U 0.898 0.898 0.665
W 0.346 0.346 0.133
W 0.654 0.654 0.867
C 0.249 0.249 0.739
C 0.500 0.500 0.000
C 0.751 0.751 0.261
CELL_PARAMETERS angstrom
5.764 -1.575 0.000
5.764 1.575 0.000
-1.436 0.000 5.373
! Density   14.98 g cm⁻³
! Energy of formation   -0.1236 eV/atom
! Space group   C2/m (12)

| no. | E_tot (eV per cell) |
| --- | --- |
| 1 | -37.48 |
| 2 | -59.35 |
| 3 | -159.16 |
| 4 | -53.09 |
| 5 | -37.73 |
| 6 | -37.87 |
| 7 | -15.26 |
| 8 | -16.84 |
| 9 | -33.44 |
| 10 | -508.98 |
| 11 | -19.21 |
| 12 | -23.53 |
| 13 | -148.69 |
| 14 | -30.08 |
| 15 | -28.14 |
| 16 | -116.85 |
| 17 | -41.26 |
| 18 | -161.49 |
| 19 | -175.75 |
| 20 | -77.05 |